Record 1
Material: MgSiO3
Method: DFT, PBE
State: relaxed

Values from the calculation:
ρ (Mg/m³): 3.41
E (eV/cell): -282.922

Lattice parameters (Å, degrees): 8.483 4.913 9.484 81.79 90.00 90.00
Sites, in units of the cell vectors:
O1 0.807 0.846 0.897
O2 0.316 0.146 0.397
Mg1 0.159 0.591 0.730
O3 0.687 0.651 0.115
Mg2 0.470 0.424 0.223
Si1 0.657 0.191 0.551
O4 0.187 0.849 0.885
Si2 0.157 0.309 0.449
O5 0.849 0.732 0.376
O6 0.307 0.654 0.103
O7 0.813 0.151 0.115
Mg3 0.341 0.091 0.730
O8 0.816 0.354 0.603
Mg4 0.970 0.076 0.777
O9 0.193 0.154 0.103
Mg5 0.659 0.909 0.270
O10 0.014 0.201 0.364
Si3 0.666 0.012 0.990
Si4 0.843 0.691 0.551
O11 0.651 0.232 0.376
O12 0.514 0.299 0.636
O13 0.996 0.595 0.106
O14 0.496 0.905 0.894
Si5 0.834 0.512 0.990
O15 0.349 0.768 0.624
O16 0.004 0.405 0.894
Si6 0.166 0.488 0.010
Si7 0.334 0.988 0.010
O17 0.184 0.646 0.397
O18 0.986 0.799 0.636
O19 0.313 0.349 0.885
O20 0.486 0.701 0.364
Mg6 0.030 0.924 0.223
Mg7 0.841 0.409 0.270
O21 0.684 0.854 0.603
O22 0.504 0.095 0.106
O23 0.693 0.346 0.897
O24 0.151 0.268 0.624
Si8 0.343 0.809 0.449
Mg8 0.530 0.576 0.777

Record 2
Material: MgSiO3
Method: DFT, PBE
State: relaxed

Values from the calculation:
ρ (Mg/m³): 3.05
E (eV/cell): -575.086

Lattice parameters (Å, degrees): 8.982 5.256 18.531 89.77 90.00 90.00
Sites, in units of the cell vectors:
Si1 0.661 0.477 0.772
O1 0.707 0.770 0.799
O2 0.482 0.306 0.567
O3 0.342 0.531 0.316
O4 0.660 0.760 0.065
Mg1 0.509 0.069 0.874
O5 0.218 0.447 0.053
O6 0.696 0.107 0.448
O7 0.503 0.749 0.937
Si2 0.664 0.802 0.474
O8 0.005 0.448 0.686
Si3 0.840 0.268 0.977
Si4 0.839 0.977 0.772
Mg2 0.651 0.133 0.625
O9 0.793 0.270 0.799
O10 0.838 0.589 0.186
O11 0.012 0.112 0.186
O12 0.497 0.251 0.063
O13 0.718 0.053 0.947
Mg3 0.151 0.367 0.375
O14 0.997 0.249 0.937
Mg4 0.009 0.431 0.126
O15 0.658 0.469 0.684
Mg5 0.491 0.636 0.621
O16 0.339 0.198 0.438
O17 0.782 0.553 0.947
Mg6 0.849 0.633 0.625
Si5 0.339 0.523 0.228
Mg7 0.991 0.569 0.874
Mg8 0.849 0.929 0.126
O18 0.495 0.948 0.686
O19 0.340 0.240 0.935
Si6 0.661 0.084 0.274
O20 0.162 0.411 0.814
O21 0.003 0.751 0.063
Mg9 0.349 0.867 0.375
Si7 0.164 0.698 0.526
O22 0.787 0.873 0.303
O23 0.160 0.740 0.935
O24 0.018 0.806 0.567
Si8 0.161 0.023 0.228
O25 0.304 0.893 0.552
O26 0.196 0.393 0.552
Si9 0.160 0.732 0.023
Mg10 0.651 0.429 0.126
Si10 0.161 0.416 0.726
O27 0.207 0.730 0.201
O28 0.518 0.694 0.433
O29 0.804 0.607 0.448
O30 0.982 0.194 0.433
Si11 0.340 0.232 0.023
O31 0.293 0.230 0.201
Si12 0.660 0.768 0.977
Mg11 0.009 0.136 0.621
O32 0.842 0.969 0.684
O33 0.158 0.031 0.316
Si13 0.336 0.198 0.526
O34 0.213 0.127 0.697
O35 0.282 0.947 0.053
O36 0.161 0.698 0.438
Mg12 0.491 0.931 0.126
O37 0.338 0.911 0.814
O38 0.661 0.802 0.562
O39 0.988 0.888 0.814
O40 0.488 0.612 0.186
Si14 0.836 0.302 0.474
O41 0.840 0.260 0.065
Mg13 0.349 0.571 0.874
Mg14 0.151 0.071 0.874
O42 0.512 0.388 0.814
Mg15 0.991 0.864 0.379
O43 0.713 0.373 0.303
Si15 0.339 0.916 0.726
O44 0.505 0.052 0.314
Mg16 0.509 0.364 0.379
Si16 0.839 0.584 0.274
O45 0.662 0.089 0.186
O46 0.839 0.302 0.562
O47 0.995 0.552 0.314
O48 0.287 0.627 0.697

| no. | energy of formation (eV per formula unit) | spin magnetization (Bohr magnetons per cell) |
| --- | --- | --- |
| 1 | -15.557 | 0.00 |
| 2 | -16.134 | 0.00 |